PtI6N4 | PBE-GGA | optimized geometry

E_form: 1.330 eV/atom
symmetry: Pnnm
E: -64.97 eV/cell
size of the total moment: 0.00 μB per formula unit

Lattice parameters (Å, degrees): 7.955 8.492 10.819 90.00 90.00 90.00
Element x y z (fractional)
Pt  0.000  0.000  0.000
Pt  0.500  0.500  0.500
I  0.000  0.000  0.235
I  0.000  0.000  0.765
I  0.234  0.237  0.000
I  0.238  0.276  0.500
I  0.262  0.776  0.000
I  0.266  0.737  0.500
I  0.500  0.500  0.265
I  0.500  0.500  0.735
I  0.734  0.263  0.500
I  0.738  0.224  0.000
I  0.762  0.724  0.500
I  0.766  0.763  0.000
N  0.218  0.820  0.178
N  0.218  0.820  0.822
N  0.282  0.320  0.322
N  0.282  0.320  0.678
N  0.718  0.680  0.322
N  0.718  0.680  0.678
N  0.782  0.180  0.178
N  0.782  0.180  0.822


PtI2N2 | PBE-GGA | optimized geometry

E_form: 1.229 eV/atom
symmetry: P4/mnc
E: -75.70 eV/cell
size of the total moment: 2.24 μB per formula unit

Lattice parameters (Å, degrees): 10.246 10.246 4.956 90.00 90.00 90.00
Element x y z (fractional)
Pt  0.000  0.000  0.000
Pt  0.000  0.000  0.500
Pt  0.500  0.500  0.000
Pt  0.500  0.500  0.500
I  0.004  0.258  0.000
I  0.242  0.496  0.500
I  0.258  0.996  0.000
I  0.496  0.758  0.500
I  0.504  0.242  0.500
I  0.742  0.004  0.000
I  0.758  0.504  0.500
I  0.996  0.742  0.000
N  0.004  0.199  0.500
N  0.199  0.996  0.500
N  0.301  0.496  0.000
N  0.496  0.699  0.000
N  0.504  0.301  0.000
N  0.699  0.504  0.000
N  0.801  0.004  0.500
N  0.996  0.801  0.500


ScI5N3 | PBE-GGA | optimized geometry

E_form: 0.577 eV/atom
symmetry: Pnma
E: -130.74 eV/cell
size of the total moment: 0.93 μB per formula unit

Lattice parameters (Å, degrees): 16.927 8.893 9.024 90.00 90.00 90.00
Element x y z (fractional)
Sc  0.061  0.250  0.051
Sc  0.439  0.750  0.551
Sc  0.561  0.250  0.449
Sc  0.939  0.750  0.949
I  0.054  0.557  0.191
I  0.054  0.943  0.191
I  0.062  0.250  0.375
I  0.185  0.250  0.867
I  0.196  0.750  0.788
I  0.304  0.250  0.288
I  0.315  0.750  0.367
I  0.438  0.750  0.875
I  0.446  0.057  0.691
I  0.446  0.443  0.691
I  0.554  0.557  0.309
I  0.554  0.943  0.309
I  0.562  0.250  0.125
I  0.685  0.250  0.633
I  0.696  0.750  0.712
I  0.804  0.250  0.212
I  0.815  0.750  0.133
I  0.938  0.750  0.625
I  0.946  0.057  0.809
I  0.946  0.443  0.809
N  0.047  0.750  0.048
N  0.174  0.580  0.669
N  0.174  0.920  0.669
N  0.326  0.080  0.169
N  0.326  0.420  0.169
N  0.453  0.250  0.548
N  0.547  0.750  0.452
N  0.674  0.580  0.831
N  0.674  0.920  0.831
N  0.826  0.080  0.331
N  0.826  0.420  0.331
N  0.953  0.250  0.952


Sr2IN | PBE-GGA | optimized geometry

E_form: -1.181 eV/atom
symmetry: R-3m
E: -17.60 eV/cell

Lattice parameters (Å, degrees): 8.163 8.163 8.163 28.59 28.59 28.59
Element x y z (fractional)
Sr  0.223  0.223  0.223
Sr  0.777  0.777  0.777
I  0.000  0.000  0.000
N  0.500  0.500  0.500


TeI6N2 | PBE-GGA | optimized geometry

E_form: 1.147 eV/atom
symmetry: P2_1/c
E: -35.82 eV/cell
size of the total moment: 4.19 μB per formula unit

Lattice parameters (Å, degrees): 7.857 7.799 13.738 90.00 124.17 90.00
Element x y z (fractional)
Te  0.000  0.000  0.000
Te  0.000  0.500  0.500
I  0.213  0.002  0.256
I  0.213  0.498  0.756
I  0.235  0.195  0.517
I  0.235  0.305  0.017
I  0.327  0.719  0.524
I  0.327  0.781  0.024
I  0.673  0.219  0.976
I  0.673  0.281  0.476
I  0.765  0.695  0.983
I  0.765  0.805  0.483
I  0.787  0.502  0.244
I  0.787  0.998  0.744
N  0.258  0.538  0.251
N  0.258  0.962  0.751
N  0.742  0.038  0.249
N  0.742  0.462  0.749


ThIN | PBE-GGA | optimized geometry

E_form: -1.909 eV/atom
symmetry: P4/nmm
E: -45.28 eV/cell

Lattice parameters (Å, degrees): 4.120 4.120 9.971 90.00 90.00 90.00
Element x y z (fractional)
Th  0.250  0.250  0.114
Th  0.750  0.750  0.886
I  0.250  0.250  0.684
I  0.750  0.750  0.316
N  0.250  0.750  0.000
N  0.750  0.250  0.000


UIN | PBE-GGA | optimized geometry

E_form: -1.433 eV/atom
symmetry: P4/nmm
E: -50.18 eV/cell

Lattice parameters (Å, degrees): 3.910 3.910 9.525 90.00 90.00 90.00
Element x y z (fractional)
U  0.250  0.250  0.120
U  0.750  0.750  0.880
I  0.250  0.250  0.672
I  0.750  0.750  0.328
N  0.250  0.750  0.000
N  0.750  0.250  0.000


ZrIN | PBE-GGA | optimized geometry

E_form: -1.494 eV/atom
symmetry: Pmmn
E: -45.06 eV/cell

Lattice parameters (Å, degrees): 3.772 4.163 9.882 90.00 90.00 90.00
Element x y z (fractional)
Zr  0.250  0.250  0.087
Zr  0.750  0.750  0.913
I  0.250  0.750  0.679
I  0.750  0.250  0.321
N  0.250  0.750  0.024
N  0.750  0.250  0.976


ZrIN | PBE-GGA | optimized geometry

E_form: -1.465 eV/atom
symmetry: R-3m
E: -44.88 eV/cell
size of the total moment: 0.00 μB per formula unit

Lattice parameters (Å, degrees): 11.051 11.051 11.051 19.58 19.58 19.58
Element x y z (fractional)
Zr  0.206  0.206  0.206
Zr  0.794  0.794  0.794
I  0.392  0.392  0.392
I  0.608  0.608  0.608
N  0.139  0.139  0.139
N  0.861  0.861  0.861


Na2IO6 | PBE-GGA | optimized geometry

E_form: -0.949 eV/atom
symmetry: Pnnm
E: -76.55 eV/cell
size of the total moment: 3.01 μB per formula unit

Lattice parameters (Å, degrees): 5.145 5.195 10.383 90.00 90.00 90.00
Element x y z (fractional)
Na  0.000  0.000  0.160
Na  0.000  0.000  0.840
Na  0.500  0.500  0.340
Na  0.500  0.500  0.660
I  0.000  0.000  0.500
I  0.500  0.500  0.000
O  0.149  0.200  0.370
O  0.149  0.200  0.630
O  0.209  0.285  0.000
O  0.291  0.785  0.500
O  0.351  0.700  0.130
O  0.351  0.700  0.870
O  0.649  0.300  0.130
O  0.649  0.300  0.870
O  0.709  0.215  0.500
O  0.791  0.715  0.000
O  0.851  0.800  0.370
O  0.851  0.800  0.630


NaPb2IO6 | PBE-GGA | optimized geometry

excess energy over the best structure of this formula in the dataset: 0.93 kcal/mol of atoms
E_form: -1.337 eV/atom
symmetry: Fm-3m
E: -49.21 eV/cell
size of the total moment: 0.00 μB per formula unit

Lattice parameters (Å, degrees): 5.858 5.858 5.858 60.00 60.00 60.00
Element x y z (fractional)
Na  0.000  0.000  0.000
Pb  0.250  0.250  0.250
Pb  0.750  0.750  0.750
I  0.500  0.500  0.500
O  0.271  0.271  0.729
O  0.271  0.729  0.271
O  0.271  0.729  0.729
O  0.729  0.271  0.271
O  0.729  0.271  0.729
O  0.729  0.729  0.271


NaPb2IO6 | PBE-GGA | optimized geometry

excess energy over the best structure of this formula in the dataset: 0.00 kcal/mol of atoms
E_form: -1.378 eV/atom
symmetry: P2_1/c
E: -99.23 eV/cell

Lattice parameters (Å, degrees): 6.107 5.819 10.205 90.00 124.87 90.00
Element x y z (fractional)
Na  0.000  0.000  0.000
Na  0.000  0.500  0.500
Pb  0.271  0.023  0.760
Pb  0.271  0.477  0.260
Pb  0.729  0.523  0.740
Pb  0.729  0.977  0.240
I  0.500  0.000  0.500
I  0.500  0.500  0.000
O  0.203  0.042  0.284
O  0.203  0.458  0.784
O  0.327  0.750  0.027
O  0.327  0.750  0.527
O  0.344  0.215  0.568
O  0.344  0.285  0.068
O  0.656  0.715  0.932
O  0.656  0.785  0.432
O  0.673  0.250  0.473
O  0.673  0.250  0.973
O  0.797  0.542  0.216
O  0.797  0.958  0.716


NaSr2IO6 | PBE-GGA | optimized geometry

excess energy over the best structure of this formula in the dataset: 0.00 kcal/mol of atoms
E_form: -2.221 eV/atom
symmetry: P2_1/c
E: -108.00 eV/cell

Lattice parameters (Å, degrees): 5.840 5.881 10.105 90.00 125.26 90.00
Element x y z (fractional)
Na  0.000  0.000  0.000
Na  0.000  0.500  0.500
Sr  0.256  0.038  0.750
Sr  0.256  0.462  0.250
Sr  0.744  0.538  0.750
Sr  0.744  0.962  0.250
I  0.500  0.000  0.500
I  0.500  0.500  0.000
O  0.203  0.023  0.275
O  0.203  0.477  0.775
O  0.273  0.687  0.035
O  0.273  0.813  0.535
O  0.360  0.236  0.041
O  0.360  0.264  0.541
O  0.640  0.736  0.459
O  0.640  0.764  0.959
O  0.727  0.187  0.465
O  0.727  0.313  0.965
O  0.797  0.523  0.225
O  0.797  0.977  0.725


NaSr2IO6 | PBE-GGA | optimized geometry

excess energy over the best structure of this formula in the dataset: 0.91 kcal/mol of atoms
E_form: -2.182 eV/atom
symmetry: Fm-3m
E: -53.61 eV/cell
size of the total moment: 0.00 μB per formula unit

Lattice parameters (Å, degrees): 5.812 5.812 5.812 60.00 60.00 60.00
Element x y z (fractional)
Na  0.000  0.000  0.000
Sr  0.250  0.250  0.250
Sr  0.750  0.750  0.750
I  0.500  0.500  0.500
O  0.270  0.270  0.730
O  0.270  0.730  0.270
O  0.270  0.730  0.730
O  0.730  0.270  0.270
O  0.730  0.270  0.730
O  0.730  0.730  0.270


Rb2NaPrI6 | PBE-GGA | optimized geometry

E_form: -1.632 eV/atom
symmetry: Fm-3m
E: -31.25 eV/cell
size of the total moment: 0.00 μB per formula unit

Lattice parameters (Å, degrees): 8.860 8.860 8.860 60.00 60.00 60.00
Element x y z (fractional)
Rb  0.250  0.250  0.250
Rb  0.750  0.750  0.750
Na  0.000  0.000  0.000
Pr  0.500  0.500  0.500
I  0.251  0.251  0.749
I  0.251  0.749  0.251
I  0.251  0.749  0.749
I  0.749  0.251  0.251
I  0.749  0.251  0.749
I  0.749  0.749  0.251


Rb2NaSbI6 | PBE-GGA | optimized geometry

E_form: -1.189 eV/atom
symmetry: Fm-3m
E: -26.17 eV/cell
size of the total moment: 0.00 μB per formula unit

Lattice parameters (Å, degrees): 8.726 8.726 8.726 60.00 60.00 60.00
Element x y z (fractional)
Rb  0.250  0.250  0.250
Rb  0.750  0.750  0.750
Na  0.000  0.000  0.000
Sb  0.500  0.500  0.500
I  0.255  0.255  0.745
I  0.255  0.745  0.255
I  0.255  0.745  0.745
I  0.745  0.255  0.255
I  0.745  0.255  0.745
I  0.745  0.745  0.255


Rb2NaTaI6 | PBE-GGA | optimized geometry

E_form: -1.127 eV/atom
symmetry: Fm-3m
E: -33.28 eV/cell
size of the total moment: 2.00 μB per formula unit

Lattice parameters (Å, degrees): 8.461 8.461 8.461 60.00 60.00 60.00
Element x y z (fractional)
Rb  0.250  0.250  0.250
Rb  0.750  0.750  0.750
Na  0.000  0.000  0.000
Ta  0.500  0.500  0.500
I  0.263  0.263  0.737
I  0.263  0.737  0.263
I  0.263  0.737  0.737
I  0.737  0.263  0.263
I  0.737  0.263  0.737
I  0.737  0.737  0.263


Rb2NaTlI6 | PBE-GGA | optimized geometry

E_form: -1.131 eV/atom
symmetry: Fm-3m
E: -23.82 eV/cell
size of the total moment: 0.01 μB per formula unit

Lattice parameters (Å, degrees): 8.714 8.714 8.714 60.00 60.00 60.00
Element x y z (fractional)
Rb  0.250  0.250  0.250
Rb  0.750  0.750  0.750
Na  0.000  0.000  0.000
Tl  0.500  0.500  0.500
I  0.255  0.255  0.745
I  0.255  0.745  0.255
I  0.255  0.745  0.745
I  0.745  0.255  0.255
I  0.745  0.255  0.745
I  0.745  0.745  0.255


Rb2NaYI6 | PBE-GGA | optimized geometry

E_form: -1.634 eV/atom
symmetry: Fm-3m
E: -32.96 eV/cell
size of the total moment: 0.00 μB per formula unit

Lattice parameters (Å, degrees): 8.719 8.719 8.719 60.00 60.00 60.00
Element x y z (fractional)
Rb  0.250  0.250  0.250
Rb  0.750  0.750  0.750
Na  0.000  0.000  0.000
Y  0.500  0.500  0.500
I  0.255  0.255  0.745
I  0.255  0.745  0.255
I  0.255  0.745  0.745
I  0.745  0.255  0.255
I  0.745  0.255  0.745
I  0.745  0.745  0.255